First-principles (r2SCAN) data for crystalline Sc11Ir4 at its relaxed geometry, as listed in Materials Project.

For the formation energy from the elements, the calculation gives -0.7533 eV/atom. Its crystal system is cubic. The value obtained for the magnetization is 1.276 μB/f.u. The calculated volume is 2390.3 Å³ per cell.

The space group is Fm-3m (No. 225) and the conventional cell measures 13.371, 13.371 and 13.371 Å, with angles of 90.00, 90.00 and 90.00 degrees. The asymmetric unit holds Sc at (0.000, 0.000, 0.198), Sc at (0.117, 0.117, 0.383), Sc at (0.157, 0.157, 0.157), Ir at (0.000, 0.000, 0.000), Ir at (0.000, 0.000, 0.500) and Ir at (0.000, 0.250, 0.250).

---

First-principles (r2SCAN) data for crystalline ScIr2 at its relaxed geometry, as listed in Materials Project.

For the formation energy from the elements, the calculation gives -0.8229 eV/atom. Its crystal system is cubic. The value obtained for the magnetization is 0.000 μB/f.u. The calculated volume is 400.9 Å³ per cell.

The space group is Fd-3m (No. 227, origin choice 2) and the conventional cell measures 7.373, 7.373 and 7.373 Å, with angles of 90.00, 90.00 and 90.00 degrees. The asymmetric unit holds Sc at (0.125, 0.125, 0.125) and Ir at (0.000, 0.000, 0.500).

---

First-principles (r2SCAN) data for crystalline ScIr at its relaxed geometry, as listed in Materials Project.

For the formation energy from the elements, the calculation gives -1.1533 eV/atom. Its crystal system is cubic. The value obtained for the magnetization is 0.000 μB/f.u. The calculated volume is 33.3 Å³ per cell.

The space group is Pm-3m (No. 221) and the conventional cell measures 3.218, 3.218 and 3.218 Å, with angles of 90.00, 90.00 and 90.00 degrees. The asymmetric unit holds Sc at (0.000, 0.000, 0.000) and Ir at (0.500, 0.500, 0.500).

---

First-principles (r2SCAN) data for crystalline Sc6Te2Ir at its relaxed geometry, as listed in Materials Project.

For the formation energy from the elements, the calculation gives -0.9080 eV/atom. Its crystal system is hexagonal. The value obtained for the magnetization is 0.001 μB/f.u. The calculated volume is 200.1 Å³ per cell.

The space group is P-62m (No. 189) and the conventional cell measures 7.7669, 7.7669 and 3.8301 Å, with angles of 90.00, 90.00 and 120.00 degrees. The asymmetric unit holds Sc at (0.0000, 0.2409, 0.0000), Sc at (0.0000, 0.6130, 0.5000), Te at (0.3333, 0.6667, 0.0000) and Ir at (0.0000, 0.0000, 0.5000).

---

First-principles (r2SCAN) data for crystalline Si4Ir3 at its relaxed geometry, as listed in Materials Project.

For the formation energy from the elements, the calculation gives -0.7148 eV/atom. Its crystal system is orthorhombic. The value obtained for the magnetization is 0.000 μB/f.u. The calculated volume is 407.9 Å³ per cell.

The space group is Pnma (No. 62) and the conventional cell measures 18.929, 3.704 and 5.818 Å, with angles of 90.00, 90.00 and 90.00 degrees. The asymmetric unit holds Si at (0.050, 0.250, 0.026), Si at (0.091, 0.250, 0.577), Si at (0.144, 0.750, 0.112), Si at (0.230, 0.250, 0.283), Ir at (0.031, 0.750, 0.304), Ir at (0.174, 0.250, 0.894) and Ir at (0.176, 0.750, 0.499).

---

First-principles (r2SCAN) data for crystalline Si2Ir at its relaxed geometry, as listed in Materials Project.

For the formation energy from the elements, the calculation gives -0.5404 eV/atom. Its crystal system is cubic. The value obtained for the magnetization is 0.000 μB/f.u. The calculated volume is 183.6 Å³ per cell.

The space group is Fm-3m (No. 225) and the conventional cell measures 5.684, 5.684 and 5.684 Å, with angles of 90.00, 90.00 and 90.00 degrees. The asymmetric unit holds Si at (0.250, 0.250, 0.250) and Ir at (0.000, 0.000, 0.000).

---

First-principles (r2SCAN) data for crystalline SiIr2 at its relaxed geometry, as listed in Materials Project.

For the formation energy from the elements, the calculation gives -0.5004 eV/atom. Its crystal system is orthorhombic. The value obtained for the magnetization is 0.000 μB/f.u. The calculated volume is 162.2 Å³ per cell.

The space group is Pnma (No. 62) and the conventional cell measures 5.288, 3.992 and 7.683 Å, with angles of 90.00, 90.00 and 90.00 degrees. The asymmetric unit holds Si at (0.206, 0.250, 0.101), Ir at (0.023, 0.250, 0.800) and Ir at (0.160, 0.250, 0.426).

---

First-principles (r2SCAN) data for crystalline SmSi2Ir2 at its relaxed geometry, as listed in Materials Project.

For the formation energy from the elements, the calculation gives -1.1538 eV/atom. Its crystal system is tetragonal. The value obtained for the magnetization is 0.000 μB/f.u. The calculated volume is 169.5 Å³ per cell.

The space group is P4/nmm (No. 129, origin choice 2) and the conventional cell measures 4.156, 4.156 and 9.812 Å, with angles of 90.00, 90.00 and 90.00 degrees. The asymmetric unit holds Sm at (0.250, 0.250, 0.245), Si at (0.250, 0.250, 0.630), Si at (0.250, 0.750, 0.000), Ir at (0.250, 0.250, 0.873) and Ir at (0.250, 0.750, 0.500).

---

First-principles (r2SCAN) data for crystalline SmSi2Ir2 at its relaxed geometry, as listed in Materials Project.

For the formation energy from the elements, the calculation gives -1.1765 eV/atom. Its crystal system is tetragonal. The value obtained for the magnetization is 0.000 μB/f.u. The calculated volume is 168.0 Å³ per cell.

The space group is I4/mmm (No. 139) and the conventional cell measures 4.090, 4.090 and 10.040 Å, with angles of 90.00, 90.00 and 90.00 degrees. The asymmetric unit holds Sm at (0.000, 0.000, 0.000), Si at (0.000, 0.000, 0.376) and Ir at (0.000, 0.500, 0.250).

---

First-principles (r2SCAN) data for crystalline TbSiIr at its relaxed geometry, as listed in Materials Project.

For the formation energy from the elements, the calculation gives -1.1575 eV/atom. Its crystal system is orthorhombic. The value obtained for the magnetization is 0.000 μB/f.u. The calculated volume is 216.0 Å³ per cell.

The space group is Pnma (No. 62) and the conventional cell measures 6.908, 4.249 and 7.358 Å, with angles of 90.00, 90.00 and 90.00 degrees. The asymmetric unit holds Tb at (0.003, 0.250, 0.186), Si at (0.198, 0.250, 0.609) and Ir at (0.155, 0.750, 0.431).

---

First-principles (r2SCAN) data for crystalline TbSi2Ir2 at its relaxed geometry, as listed in Materials Project.

For the formation energy from the elements, the calculation gives -1.1939 eV/atom. Its crystal system is tetragonal. The value obtained for the magnetization is 0.000 μB/f.u. The calculated volume is 164.6 Å³ per cell.

The space group is I4/mmm (No. 139) and the conventional cell measures 4.070, 4.070 and 9.936 Å, with angles of 90.00, 90.00 and 90.00 degrees. The asymmetric unit holds Tb at (0.000, 0.000, 0.000), Si at (0.000, 0.000, 0.378) and Ir at (0.000, 0.500, 0.250).

---

First-principles (r2SCAN) data for crystalline TbSi3Ir at its relaxed geometry, as listed in Materials Project.

For the formation energy from the elements, the calculation gives -0.8458 eV/atom. Its crystal system is tetragonal. The value obtained for the magnetization is 0.000 μB/f.u. The calculated volume is 170.8 Å³ per cell.

The space group is I4mm (No. 107) and the conventional cell measures 4.180, 4.180 and 9.777 Å, with angles of 90.00, 90.00 and 90.00 degrees. The asymmetric unit holds Tb at (0.000, 0.000, 0.000), Si at (0.000, 0.000, 0.416), Si at (0.000, 0.500, 0.267) and Ir at (0.000, 0.000, 0.654).